Material: Dy5Ge10Rh4
Method: DFT, r²SCAN
State: relaxed

```
data_Dy5Ge10Rh4
_chemical_formula_sum 'Dy10 Ge20 Rh8'
_cell_length_a 12.9716
_cell_length_b 12.9716
_cell_length_c 4.2787
_cell_angle_alpha 90.00
_cell_angle_beta 90.00
_cell_angle_gamma 90.00
_space_group_name_H-M_alt 'P 4/m b m'
_space_group_IT_number 127
_space_group_name_Hall '-P 4 2ab'
loop_
_atom_site_label
_atom_site_fract_x
_atom_site_fract_y
_atom_site_fract_z
Dy1 0.0000 0.0000 0.0000
Dy2 0.1125 0.3875 0.5000
Dy3 0.1748 0.6748 0.5000
Ge1 0.0028 0.8417 0.5000
Ge2 0.0671 0.5671 0.0000
Ge3 0.1618 0.2009 0.0000
Rh1 0.0212 0.7551 0.0000
```

Calculated values
E_tot = -21.67 eV/atom
Energy of formation from the pure elements = -870 meV/atom
V = 719.94 Å³ per cell